VASP calculation (GGA+U) on a relaxed Li3Fe3O8 crystal.

Lattice parameters (Å, degrees): 5.852 5.935 5.850 59.49 88.26 59.57
Atoms (fractional coordinates):
1 Li 0.155 0.222 0.400
2 Li 0.843 0.779 0.600
3 Li 0.999 0.001 0.000
4 O 0.286 0.507 0.254
5 O 0.697 0.053 0.198
6 O 0.287 0.952 0.254
7 O 0.301 0.948 0.802
8 O 0.711 0.049 0.745
9 O 0.735 0.498 0.268
10 O 0.712 0.494 0.746
11 O 0.263 0.503 0.731
12 Fe 0.499 0.501 0.000
13 Fe 0.499 0.501 0.500
14 Fe 0.499 0.001 0.000

Calculated values
* crystal system: monoclinic
* E_form: -1604 meV per atom
* energy relative to the lowest polymorph listed for this composition: 0.003 eV/f.u.
* space group: C2/m